[1]
A plane-wave DFT calculation with PBE was carried out for an optimized crystal structure of LaAl3O6.

Values from the calculation:
Formation energy (meV/atom): -3514.1
Uncorrected energy (eV per cell): -153.76

Cell: 7.0586 7.0586 6.2490 Å, 68.15 68.15 79.08°
Positions (direct):
La 0.8144 0.1856 0.2500
La 0.1856 0.8144 0.7500
Al 0.1925 0.8075 0.2500
Al 0.7639 0.6451 0.3226
Al 0.3549 0.2361 0.1774
Al 0.6451 0.7639 0.8226
Al 0.2361 0.3549 0.6774
Al 0.8075 0.1925 0.7500
O 0.1832 0.6135 0.5225
O 0.1917 0.0276 0.3206
O 0.3980 0.2561 0.4383
O 0.9724 0.8083 0.1794
O 0.3865 0.8168 0.9775
O 0.2561 0.3980 0.9383
O 0.7439 0.6020 0.0617
O 0.6135 0.1832 0.0225
O 0.0276 0.1917 0.8206
O 0.6020 0.7439 0.5617
O 0.8083 0.9724 0.6794
O 0.8168 0.3865 0.4775

=====

[2]
A plane-wave DFT calculation with PBE was carried out for an optimized crystal structure of AgB10H26C6N.

Values from the calculation:
Formation energy (meV/atom): -135.9
Uncorrected energy (eV per cell): -908.66

Cell: 7.4334 9.6115 22.9581 Å, 80.59 90.00 90.00°
Positions (direct):
Ag 0.9615 0.5986 0.6984
Ag 0.4615 0.4014 0.8016
Ag 0.0385 0.4014 0.3016
Ag 0.5385 0.5986 0.1984
B 0.2480 0.7625 0.6775
B 0.7480 0.2375 0.8225
B 0.7520 0.2375 0.3225
B 0.2520 0.7625 0.1775
B 0.2845 0.6067 0.6532
B 0.7845 0.3933 0.8468
B 0.7155 0.3933 0.3468
B 0.2155 0.6067 0.1532
B 0.4070 0.6563 0.7164
B 0.9070 0.3437 0.7836
B 0.5930 0.3437 0.2836
B 0.0930 0.6563 0.2164
B 0.4631 0.8269 0.6717
B 0.9631 0.1731 0.8283
B 0.5369 0.1731 0.3283
B 0.0369 0.8269 0.1717
B 0.3423 0.7765 0.6086
B 0.8423 0.2235 0.8914
B 0.6577 0.2235 0.3914
B 0.1577 0.7765 0.1086
B 0.5031 0.5333 0.6744
B 0.0031 0.4667 0.8256
B 0.4969 0.4667 0.3256
B 0.9969 0.5333 0.1744
B 0.6304 0.6887 0.6871
B 0.1304 0.3113 0.8129
B 0.3696 0.3113 0.3129
B 0.8696 0.6887 0.1871
B 0.5846 0.7742 0.6112
B 0.0846 0.2258 0.8888
B 0.4154 0.2258 0.3888
B 0.9154 0.7742 0.1112
B 0.4592 0.6179 0.5982
B 0.9592 0.3821 0.9018
B 0.5408 0.3821 0.4018
B 0.0408 0.6179 0.0982
B 0.6697 0.6071 0.6280
B 0.1697 0.3929 0.8720
B 0.3303 0.3929 0.3720
B 0.8303 0.6071 0.1280
H 0.7111 0.9748 0.8837
H 0.2111 0.0252 0.6163
H 0.2889 0.0252 0.1163
H 0.7889 0.9748 0.3837
H 0.0147 0.9145 0.9363
H 0.5147 0.0855 0.5637
H 0.9853 0.0855 0.0637
H 0.4853 0.9145 0.4363
H 0.3849 0.0292 0.8356
H 0.8849 0.9708 0.6644
H 0.6151 0.9708 0.1644
H 0.1151 0.0292 0.3356
H 0.4279 0.6515 0.9371
H 0.9279 0.3485 0.5629
H 0.5721 0.3485 0.0629
H 0.0721 0.6515 0.4371
H 0.1176 0.8181 0.6948
H 0.6176 0.1819 0.8052
H 0.8824 0.1819 0.3052
H 0.3824 0.8181 0.1948
H 0.1693 0.5184 0.6482
H 0.6693 0.4816 0.8518
H 0.8307 0.4816 0.3518
H 0.3307 0.5184 0.1482
H 0.3827 0.6261 0.7692
H 0.8827 0.3739 0.7308
H 0.6173 0.3739 0.2308
H 0.1173 0.6261 0.2692
H 0.4927 0.9395 0.6861
H 0.9927 0.0605 0.8139
H 0.5073 0.0605 0.3139
H 0.0073 0.9395 0.1861
H 0.2716 0.8451 0.5660
H 0.7716 0.1549 0.9340
H 0.7284 0.1549 0.4340
H 0.2284 0.8451 0.0660
H 0.5135 0.4096 0.6949
H 0.0135 0.5904 0.8051
H 0.4865 0.5904 0.3051
H 0.9865 0.4096 0.1949
H 0.7412 0.7096 0.7243
H 0.2412 0.2904 0.7757
H 0.2588 0.2904 0.2757
H 0.7588 0.7096 0.2243
H 0.6674 0.8616 0.5783
H 0.1674 0.1384 0.9217
H 0.3326 0.1384 0.4217
H 0.8326 0.8616 0.0783
H 0.4367 0.5648 0.5550
H 0.9367 0.4352 0.9450
H 0.5633 0.4352 0.4450
H 0.0633 0.5648 0.0550
H 0.7984 0.5568 0.6076
H 0.2984 0.4432 0.8924
H 0.2016 0.4432 0.3924
H 0.7016 0.5568 0.1076
H 0.7989 0.6716 0.8962
H 0.2989 0.3284 0.6038
H 0.2011 0.3284 0.1038
H 0.7011 0.6716 0.3962
H 0.9010 0.8120 0.8480
H 0.4010 0.1880 0.6520
H 0.0990 0.1880 0.1520
H 0.5990 0.8120 0.3480
H 0.9200 0.7687 0.9852
H 0.4200 0.2313 0.5148
H 0.0800 0.2313 0.0148
H 0.5800 0.7687 0.4852
H 0.0908 0.7391 0.9357
H 0.5908 0.2609 0.5643
H 0.9092 0.2609 0.0643
H 0.4092 0.7391 0.4357
H 0.5473 0.7313 0.8401
H 0.0473 0.2687 0.6599
H 0.4527 0.2687 0.1599
H 0.9527 0.7313 0.3401
H 0.6440 0.8843 0.7985
H 0.1440 0.1157 0.7015
H 0.3560 0.1157 0.2015
H 0.8560 0.8843 0.2985
H 0.3144 0.9032 0.7919
H 0.8144 0.0968 0.7081
H 0.6856 0.0968 0.2081
H 0.1856 0.9032 0.2919
H 0.2891 0.8649 0.8692
H 0.7891 0.1351 0.6308
H 0.7109 0.1351 0.1308
H 0.2109 0.8649 0.3692
H 0.6602 0.8823 0.9803
H 0.1602 0.1177 0.5197
H 0.3398 0.1177 0.0197
H 0.8398 0.8823 0.4803
H 0.4539 0.9165 0.9421
H 0.9539 0.0835 0.5579
H 0.5461 0.0835 0.0579
H 0.0461 0.9165 0.4421
H 0.6311 0.6243 0.9787
H 0.1311 0.3757 0.5213
H 0.3689 0.3757 0.0213
H 0.8689 0.6243 0.4787
H 0.4376 0.6901 0.0102
H 0.9376 0.3099 0.4898
H 0.5624 0.3099 0.9898
H 0.0624 0.6901 0.5102
C 0.8413 0.7820 0.8920
C 0.3413 0.2180 0.6080
C 0.1587 0.2180 0.1080
C 0.6587 0.7820 0.3920
C 0.9717 0.8040 0.9404
C 0.4717 0.1960 0.5596
C 0.0283 0.1960 0.0596
C 0.5283 0.8040 0.4404
C 0.5607 0.8457 0.8374
C 0.0607 0.1543 0.6626
C 0.4393 0.1543 0.1626
C 0.9393 0.8457 0.3374
C 0.3778 0.9159 0.8340
C 0.8778 0.0841 0.6660
C 0.6222 0.0841 0.1660
C 0.1222 0.9159 0.3340
C 0.5701 0.8454 0.9482
C 0.0701 0.1546 0.5518
C 0.4299 0.1546 0.0518
C 0.9299 0.8454 0.4482
C 0.5140 0.6938 0.9690
C 0.0140 0.3062 0.5310
C 0.4860 0.3062 0.0310
C 0.9860 0.6938 0.4690
N 0.6719 0.8698 0.8903
N 0.1719 0.1302 0.6097
N 0.3281 0.1302 0.1097
N 0.8281 0.8698 0.3903

=====

[3]
A plane-wave DFT calculation with PBE was carried out for an optimized crystal structure of GaSeCl.

Values from the calculation:
Formation energy (meV/atom): -1058.4
Uncorrected energy (eV per cell): -43.73

Cell: 3.8611 5.6611 15.6932 Å, 90.00 90.00 90.00°
Positions (direct):
Ga 0.5000 0.5272 0.1928
Ga 0.0000 0.9728 0.6928
Ga 0.0000 0.0272 0.3072
Ga 0.5000 0.4728 0.8072
Se 0.5000 0.2443 0.6732
Se 0.0000 0.7443 0.8268
Se 0.0000 0.2557 0.1732
Se 0.5000 0.7557 0.3268
Cl 0.5000 0.2390 0.9175
Cl 0.0000 0.7390 0.5825
Cl 0.5000 0.7610 0.0825
Cl 0.0000 0.2610 0.4175

=====

[4]
A plane-wave DFT calculation with PBE was carried out for an optimized crystal structure of MnS2.

Values from the calculation:
Formation energy (meV/atom): -856.4
Uncorrected energy (eV per cell): -38.00

Cell: 3.2580 4.6816 5.5529 Å, 90.00 90.00 90.00°
Positions (direct):
Mn 0.5000 0.5000 0.5000
Mn 0.0000 0.0000 0.0000
S 0.5000 0.6981 0.1316
S 0.5000 0.3019 0.8684
S 0.0000 0.1981 0.3684
S 0.0000 0.8019 0.6316

=====

[5]
A plane-wave DFT calculation with PBE was carried out for an optimized crystal structure of Na2Mg2Si6O15.

Values from the calculation:
Formation energy (meV/atom): -3126.7
Uncorrected energy (eV per cell): -721.92

Cell: 11.4369 11.4369 10.3202 Å, 90.00 90.00 101.91°
Positions (direct):
Na 0.9808 0.5192 0.7500
Na 0.5192 0.9808 0.2500
Na 0.0192 0.4808 0.2500
Na 0.4808 0.0192 0.7500
Na 0.9085 0.0915 0.7608
Na 0.5915 0.4085 0.2608
Na 0.0915 0.9085 0.2392
Na 0.4085 0.5915 0.7392
Mg 0.6607 0.8393 0.7500
Mg 0.8393 0.6607 0.2500
Mg 0.3393 0.1607 0.2500
Mg 0.1607 0.3393 0.7500
Mg 0.7487 0.7487 0.5000
Mg 0.7513 0.7513 0.0000
Mg 0.2513 0.2513 0.5000
Mg 0.2487 0.2487 0.0000
Si 0.6956 0.0795 0.9597
Si 0.8044 0.4205 0.4597
Si 0.0795 0.6956 0.0403
Si 0.4205 0.8044 0.5403
Si 0.3044 0.9205 0.0403
Si 0.1956 0.5795 0.5403
Si 0.9205 0.3044 0.9597
Si 0.5795 0.1956 0.4597
Si 0.8144 0.9639 0.1896
Si 0.6856 0.5361 0.6896
Si 0.9639 0.8144 0.8104
Si 0.5361 0.6856 0.3104
Si 0.1856 0.0361 0.8104
Si 0.3144 0.4639 0.3104
Si 0.0361 0.1856 0.1896
Si 0.4639 0.3144 0.6896
Si 0.7576 0.0214 0.4863
Si 0.7424 0.4786 0.9863
Si 0.0214 0.7576 0.5137
Si 0.4786 0.7424 0.0137
Si 0.2424 0.9786 0.5137
Si 0.2576 0.5214 0.0137
Si 0.9786 0.2424 0.4863
Si 0.5214 0.2576 0.9863
O 0.1816 0.8184 0.0600
O 0.3184 0.6816 0.5600
O 0.8184 0.1816 0.9400
O 0.6816 0.3184 0.4400
O 0.0525 0.9475 0.8219
O 0.4475 0.5525 0.3219
O 0.9475 0.0525 0.1781
O 0.5525 0.4475 0.6781
O 0.1201 0.8799 0.4756
O 0.3799 0.6201 0.9756
O 0.8799 0.1201 0.5244
O 0.6201 0.3799 0.0244
O 0.6701 0.0053 0.8290
O 0.8299 0.4947 0.3290
O 0.0053 0.6701 0.1710
O 0.4947 0.8299 0.6710
O 0.3299 0.9947 0.1710
O 0.1701 0.5053 0.6710
O 0.9947 0.3299 0.8290
O 0.5053 0.1701 0.3290
O 0.7160 0.0022 0.0905
O 0.7840 0.4978 0.5905
O 0.0022 0.7160 0.9095
O 0.4978 0.7840 0.4095
O 0.2403 0.0180 0.6667
O 0.2840 0.9978 0.9095
O 0.9978 0.2840 0.0905
O 0.5022 0.2160 0.5905
O 0.8280 0.8302 0.1583
O 0.6720 0.6698 0.6583
O 0.8302 0.8280 0.8417
O 0.6698 0.6720 0.3417
O 0.1720 0.1698 0.8417
O 0.3280 0.3302 0.3417
O 0.1698 0.1720 0.1583
O 0.3302 0.3280 0.6583
O 0.7597 0.9820 0.3333
O 0.7403 0.5180 0.8333
O 0.9820 0.7597 0.6667
O 0.5180 0.7403 0.1667
O 0.5842 0.1424 0.0028
O 0.9158 0.3576 0.5028
O 0.1424 0.5842 0.9972
O 0.3576 0.9158 0.4972
O 0.4158 0.8576 0.9972
O 0.0842 0.6424 0.4972
O 0.8576 0.4158 0.0028
O 0.6424 0.0842 0.5028
O 0.4067 0.2497 0.0773
O 0.0933 0.2503 0.5773
O 0.2497 0.4067 0.9227
O 0.2503 0.0933 0.4227
O 0.5933 0.7503 0.9227
O 0.9067 0.7497 0.4227
O 0.7503 0.5933 0.0773
O 0.7497 0.9067 0.5773
O 0.4820 0.2597 0.8333
O 0.0180 0.2403 0.3333
O 0.2597 0.4820 0.1667
O 0.2160 0.5022 0.4095

=====

[6]
A plane-wave DFT calculation with PBE was carried out for an optimized crystal structure of Cs2TlHgI6.

Values from the calculation:
Formation energy (meV/atom): -1043.8
Uncorrected energy (eV per cell): -21.77

Cell: 8.7412 8.7412 8.7412 Å, 60.00 60.00 60.00°
Positions (direct):
Cs 0.7500 0.7500 0.7500
Cs 0.2500 0.2500 0.2500
Tl 0.0000 0.0000 0.0000
Hg 0.5000 0.5000 0.5000
I 0.7452 0.2548 0.2548
I 0.2548 0.2548 0.7452
I 0.2548 0.7452 0.7452
I 0.2548 0.7452 0.2548
I 0.7452 0.2548 0.7452
I 0.7452 0.7452 0.2548

=====

[7]
A plane-wave DFT calculation with PBE was carried out for an optimized crystal structure of Sr5Bi3O12.

Values from the calculation:
Formation energy (meV/atom): -2240.1
Uncorrected energy (eV per cell): -116.05

Cell: 6.1746 8.7505 6.1746 Å, 90.00 90.00 90.00°
Positions (direct):
Sr 0.5000 0.2628 0.0000
Sr 0.0000 0.7372 0.5000
Sr 0.5000 0.7372 0.0000
Sr 0.0000 0.2628 0.5000
Sr 0.0000 0.5000 0.0000
Bi 0.0000 0.0000 0.0000
Bi 0.5000 0.5000 0.5000
Bi 0.5000 0.0000 0.5000
O 0.0000 0.2356 0.0000
O 0.5000 0.7495 0.5000
O 0.2635 0.5000 0.2635
O 0.7507 0.0000 0.7507
O 0.2635 0.5000 0.7365
O 0.7507 0.0000 0.2493
O 0.0000 0.7644 0.0000
O 0.5000 0.2505 0.5000
O 0.7365 0.5000 0.7365
O 0.2493 0.0000 0.2493
O 0.7365 0.5000 0.2635
O 0.2493 0.0000 0.7507

=====

[8]
A plane-wave DFT calculation with PBE was carried out for an optimized crystal structure of Dy2Fe17H3.

Values from the calculation:
Formation energy (meV/atom): -85.1
Uncorrected energy (eV per cell): -329.44

Cell: 8.2250 8.5621 8.5621 Å, 120.00 90.00 90.00°
Positions (direct):
Dy 0.7500 0.6667 0.3333
Dy 0.2500 0.3333 0.6667
Dy 0.7500 0.0000 0.0000
Dy 0.2500 0.0000 0.0000
Fe 0.7500 0.6230 0.6709
Fe 0.2500 0.3770 0.3291
Fe 0.7500 0.0479 0.3770
Fe 0.2500 0.9521 0.3291
Fe 0.2500 0.9521 0.6230
Fe 0.7500 0.0479 0.6709
Fe 0.7500 0.3291 0.9521
Fe 0.2500 0.6709 0.6230
Fe 0.2500 0.6709 0.0479
Fe 0.7500 0.3291 0.3770
Fe 0.2500 0.3770 0.0479
Fe 0.7500 0.6230 0.9521
Fe 0.3948 0.6667 0.3333
Fe 0.6052 0.3333 0.6667
Fe 0.8948 0.3333 0.6667
Fe 0.1052 0.6667 0.3333
Fe 0.9841 0.8333 0.1667
Fe 0.0159 0.1667 0.8333
Fe 0.9841 0.3333 0.1667
Fe 0.4841 0.1667 0.8333
Fe 0.0159 0.6667 0.8333
Fe 0.5159 0.8333 0.1667
Fe 0.9841 0.8333 0.6667
Fe 0.4841 0.6667 0.8333
Fe 0.0159 0.1667 0.3333
Fe 0.5159 0.3333 0.1667
Fe 0.4841 0.1667 0.3333
Fe 0.5159 0.8333 0.6667
Fe 0.0000 0.5000 0.5000
Fe 0.0000 0.0000 0.5000
Fe 0.5000 0.5000 0.5000
Fe 0.0000 0.5000 0.0000
Fe 0.5000 0.0000 0.5000
Fe 0.5000 0.5000 0.0000
H 0.7500 0.8352 0.1648
H 0.2500 0.1648 0.8352
H 0.7500 0.3296 0.1648
H 0.2500 0.6704 0.8352
H 0.7500 0.8352 0.6704
H 0.2500 0.1648 0.3296